1.
A plane-wave DFT calculation with r2SCAN was carried out for crystalline YAl3 at its relaxed geometry.

Output
- spin magnetization (μB/cell) = 0.00
- DFT total energy (eV per atom) = -10.6020
- ΔH_f (0 K) (eV per atom) = -0.47
- symmetry = P6_3/mmc

a = 6.2658 Å, b = 6.2658 Å, c = 4.5946 Å
α = 90.00°, β = 90.00°, γ = 120.00°
Last column: nearest neighbours and their distance in Å.
Atoms (fractional coordinates):
Al 0.7096 0.8548 0.2500  6 Al 2.73-2.79
Al 0.8548 0.7096 0.7500  6 Al 2.73-2.79
Al 0.8548 0.1452 0.7500  6 Al 2.73-2.79
Y 0.3333 0.6667 0.7500  12 Al 3.07-3.14
Y 0.6667 0.3333 0.2500  12 Al 3.07-3.14
Al 0.1452 0.2904 0.2500  6 Al 2.73-2.79
Al 0.2904 0.1452 0.7500  6 Al 2.73-2.79
Al 0.1452 0.8548 0.2500  6 Al 2.73-2.79



2.
A plane-wave DFT calculation with r2SCAN was carried out for crystalline Be2Fe at its relaxed geometry.

Output
- spin magnetization (μB/cell) = 8.39
- DFT total energy (eV per atom) = -7.9273
- ΔH_f (0 K) (eV per atom) = -0.23
- symmetry = P6_3/mmc

a = 4.1883 Å, b = 4.1883 Å, c = 6.7993 Å
α = 90.00°, β = 90.00°, γ = 120.00°
Last column: nearest neighbours and their distance in Å.
Atoms (fractional coordinates):
Fe 0.3333 0.6667 0.0615  12 Be 2.43-2.46, 4 Fe 2.56
Be 0.0000 0.0000 0.5000  6 Be 2.10
Be 0.1703 0.3406 0.7500  6 Be 2.05-2.14
Be 0.0000 0.0000 0.0000  6 Be 2.10
Be 0.3406 0.1703 0.2500  6 Be 2.05-2.14
Be 0.1703 0.8297 0.7500  6 Be 2.05-2.14
Be 0.6594 0.8297 0.7500  6 Be 2.05-2.14
Fe 0.3333 0.6667 0.4385  12 Be 2.43-2.46, 4 Fe 2.56
Fe 0.6667 0.3333 0.5615  12 Be 2.43-2.46, 4 Fe 2.56
Be 0.8297 0.1703 0.2500  6 Be 2.05-2.14
Be 0.8297 0.6594 0.2500  6 Be 2.05-2.14
Fe 0.6667 0.3333 0.9385  12 Be 2.43-2.46, 4 Fe 2.56



3.
A plane-wave DFT calculation with r2SCAN was carried out for crystalline YbEuCd2 at its relaxed geometry.

Output
- spin magnetization (μB/cell) = 7.19
- DFT total energy (eV per atom) = -29.1481
- ΔH_f (0 K) (eV per atom) = -0.33
- symmetry = Fm-3m

a = 5.3458 Å, b = 5.3458 Å, c = 5.3458 Å
α = 60.00°, β = 60.00°, γ = 60.00°
Last column: nearest neighbours and their distance in Å.
Atoms (fractional coordinates):
Cd 0.2500 0.2500 0.2500  4 Yb 3.27, 4 Eu 3.27
Eu 0.5000 0.5000 0.5000  8 Cd 3.27
Cd 0.7500 0.7500 0.7500  4 Eu 3.27, 4 Yb 3.27
Yb 0.0000 0.0000 0.0000  8 Cd 3.27



4.
A plane-wave DFT calculation with r2SCAN was carried out for crystalline GdLuCu2 at its relaxed geometry.

Output
- spin magnetization (μB/cell) = 7.26
- DFT total energy (eV per atom) = -26.0139
- ΔH_f (0 K) (eV per atom) = -0.22
- symmetry = Fm-3m

a = 4.8406 Å, b = 4.8406 Å, c = 4.8406 Å
α = 60.00°, β = 60.00°, γ = 60.00°
Last column: nearest neighbours and their distance in Å.
Atoms (fractional coordinates):
Lu 0.0000 0.0000 0.0000  8 Cu 2.96
Gd 0.5000 0.5000 0.5000  8 Cu 2.96
Cu 0.2500 0.2500 0.2500  4 Gd 2.96, 4 Lu 2.96
Cu 0.7500 0.7500 0.7500  4 Gd 2.96, 4 Lu 2.96



5.
A plane-wave DFT calculation with r2SCAN was carried out for crystalline ZrHg3 at its relaxed geometry.

Output
- spin magnetization (μB/cell) = 0.00
- DFT total energy (eV per atom) = -42.8079
- ΔH_f (0 K) (eV per atom) = -0.09
- symmetry = Pm-3m

a = 4.4177 Å, b = 4.4177 Å, c = 4.4177 Å
α = 90.00°, β = 90.00°, γ = 90.00°
Last column: nearest neighbours and their distance in Å.
Atoms (fractional coordinates):
Zr 0.0000 0.0000 0.0000  12 Hg 3.12
Hg 0.5000 0.0000 0.5000  8 Hg 3.12, 4 Zr 3.12
Hg 0.5000 0.5000 0.0000  8 Hg 3.12, 4 Zr 3.12
Hg 0.0000 0.5000 0.5000  8 Hg 3.12, 4 Zr 3.12



6.
A plane-wave DFT calculation with r2SCAN was carried out for crystalline NbRh at its relaxed geometry.

Output
- spin magnetization (μB/cell) = 0.00
- DFT total energy (eV per atom) = -24.8471
- ΔH_f (0 K) (eV per atom) = -0.41

a = 3.8804 Å, b = 4.0399 Å, c = 4.0399 Å
α = 90.00°, β = 90.00°, γ = 90.00°
Last column: nearest neighbours and their distance in Å.
Atoms (fractional coordinates):
Nb 0.0000 0.5000 0.5000  8 Rh 2.80, 4 Nb 2.86
Nb 0.0000 0.0000 0.0000  8 Rh 2.80, 4 Nb 2.86
Rh 0.5000 0.5000 0.0000  8 Nb 2.80, 4 Rh 2.86
Rh 0.5000 0.0000 0.5000  8 Nb 2.80, 4 Rh 2.86



- Which of these has the highest DFT total energy?
  Be2Fe